# 1
This record from Materials Project describes an optimized crystal structure of K3HRhC5N5O. The functional is r2SCAN.

Values from the calculation:
Formation energy from the elements: -418 meV per atom
Size of the total moment: 0.00 μB/f.u.

Cell: 7.681 8.408 8.998 Å, 89.86 100.34 100.55°
Fractional coordinates of all 32 atoms:
K (0.868, 0.684, 0.290)
K (0.320, 0.623, 0.177)
K (0.132, 0.316, 0.710)
K (0.680, 0.377, 0.823)
K (0.305, 0.084, 0.182)
K (0.695, 0.916, 0.818)
N (0.992, 0.223, 0.961)
N (0.409, 0.121, 0.850)
N (0.069, 0.404, 0.347)
N (0.555, 0.413, 0.170)
N (0.445, 0.587, 0.830)
N (0.931, 0.596, 0.653)
N (0.756, 0.160, 0.599)
N (0.244, 0.840, 0.401)
N (0.591, 0.879, 0.150)
N (0.008, 0.777, 0.039)
C (0.060, 0.791, 0.925)
C (0.333, 0.663, 0.795)
C (0.211, 0.830, 0.523)
C (0.793, 0.634, 0.592)
C (0.207, 0.366, 0.408)
C (0.690, 0.998, 0.199)
C (0.667, 0.337, 0.205)
C (0.940, 0.209, 0.075)
C (0.310, 0.002, 0.801)
C (0.789, 0.170, 0.477)
H (0.003, 0.923, 0.673)
H (0.997, 0.077, 0.327)
Rh (0.856, 0.192, 0.271)
Rh (0.144, 0.808, 0.729)
O (0.655, 0.669, 0.527)
O (0.345, 0.331, 0.473)

# 2
This record from Materials Project describes an optimized crystal structure of KHCO3. The functional is r2SCAN.

Values from the calculation:
Formation energy from the elements: -1617 meV per atom
Size of the total moment: 0.01 μB/f.u.

Cell: 5.607 3.652 15.046 Å, 75.60 90.00 90.00°
Fractional coordinates of all 24 atoms:
K (0.525, 0.961, 0.666)
K (0.475, 0.039, 0.334)
K (0.975, 0.961, 0.166)
K (0.025, 0.039, 0.834)
O (0.723, 0.430, 0.923)
O (0.032, 0.709, 0.694)
O (0.468, 0.709, 0.194)
O (0.821, 0.558, 0.581)
O (0.777, 0.430, 0.423)
O (0.532, 0.291, 0.806)
O (0.223, 0.570, 0.577)
O (0.277, 0.570, 0.077)
O (0.968, 0.291, 0.306)
O (0.321, 0.442, 0.919)
O (0.179, 0.442, 0.419)
O (0.679, 0.558, 0.081)
H (0.691, 0.484, 0.985)
H (0.309, 0.516, 0.015)
H (0.809, 0.484, 0.485)
H (0.191, 0.516, 0.515)
C (0.484, 0.615, 0.119)
C (0.984, 0.385, 0.381)
C (0.016, 0.615, 0.619)
C (0.516, 0.385, 0.881)

# 3
This record from Materials Project describes an optimized crystal structure of KHCO3. The functional is r2SCAN.

Values from the calculation:
Formation energy from the elements: -1617 meV per atom
Size of the total moment: 0.00 μB/f.u.

Cell: 3.666 5.606 7.845 Å, 107.84 102.61 90.75°
Fractional coordinates of all 12 atoms:
C (0.856, 0.622, 0.237)
C (0.144, 0.378, 0.763)
O (0.899, 0.296, 0.614)
O (0.101, 0.704, 0.386)
O (0.273, 0.608, 0.840)
O (0.722, 0.792, 0.154)
O (0.727, 0.392, 0.160)
O (0.278, 0.208, 0.846)
H (0.541, 0.705, 0.030)
H (0.459, 0.295, 0.970)
K (0.708, 0.826, 0.669)
K (0.292, 0.174, 0.331)

# 4
This record from Materials Project describes an optimized crystal structure of MgH8C3N2O6. The functional is r2SCAN.

Values from the calculation:
Formation energy from the elements: -932 meV per atom
Size of the total moment: 0.00 μB/f.u.

Cell: 8.823 7.606 11.396 Å, 90.00 90.00 90.00°
Fractional coordinates of all 80 atoms:
Mg (0.045, 0.001, 0.512)
Mg (0.955, 0.999, 0.012)
Mg (0.455, 0.501, 0.012)
Mg (0.545, 0.499, 0.512)
O (0.146, 0.228, 0.576)
O (0.749, 0.588, 0.441)
O (0.998, 0.134, 0.357)
O (0.661, 0.583, 0.081)
O (0.002, 0.866, 0.857)
O (0.854, 0.772, 0.076)
O (0.251, 0.412, 0.941)
O (0.354, 0.728, 0.076)
O (0.070, 0.858, 0.668)
O (0.498, 0.366, 0.357)
O (0.751, 0.088, 0.941)
O (0.430, 0.358, 0.168)
O (0.556, 0.275, 0.945)
O (0.056, 0.225, 0.945)
O (0.249, 0.912, 0.441)
O (0.930, 0.142, 0.168)
O (0.161, 0.917, 0.081)
O (0.502, 0.634, 0.857)
O (0.444, 0.725, 0.445)
O (0.339, 0.417, 0.581)
O (0.944, 0.775, 0.445)
O (0.646, 0.272, 0.576)
O (0.570, 0.642, 0.668)
O (0.839, 0.083, 0.581)
H (0.091, 0.395, 0.332)
H (0.084, 0.629, 0.703)
H (0.071, 0.609, 0.346)
H (0.089, 0.410, 0.673)
H (0.645, 0.828, 0.013)
H (0.591, 0.105, 0.332)
H (0.416, 0.129, 0.203)
H (0.052, 0.083, 0.762)
H (0.909, 0.605, 0.832)
H (0.571, 0.891, 0.346)
H (0.219, 0.233, 0.070)
H (0.156, 0.483, 0.803)
H (0.584, 0.871, 0.703)
H (0.719, 0.267, 0.070)
H (0.448, 0.583, 0.262)
H (0.656, 0.017, 0.803)
H (0.948, 0.917, 0.262)
H (0.409, 0.895, 0.832)
H (0.344, 0.983, 0.303)
H (0.589, 0.090, 0.673)
H (0.355, 0.172, 0.513)
H (0.911, 0.590, 0.173)
H (0.929, 0.391, 0.846)
H (0.411, 0.910, 0.173)
H (0.855, 0.328, 0.513)
H (0.916, 0.371, 0.203)
H (0.552, 0.417, 0.762)
H (0.429, 0.109, 0.846)
H (0.145, 0.672, 0.013)
H (0.781, 0.767, 0.570)
H (0.844, 0.517, 0.303)
H (0.281, 0.733, 0.570)
N (0.578, 0.991, 0.286)
N (0.078, 0.509, 0.286)
N (0.074, 0.504, 0.738)
N (0.926, 0.496, 0.238)
N (0.574, 0.996, 0.738)
N (0.422, 0.009, 0.786)
N (0.922, 0.491, 0.786)
N (0.426, 0.004, 0.238)
C (0.282, 0.270, 0.556)
C (0.718, 0.730, 0.056)
C (0.782, 0.230, 0.556)
C (0.959, 0.061, 0.263)
C (0.218, 0.770, 0.056)
C (0.459, 0.439, 0.263)
C (0.541, 0.561, 0.763)
C (0.041, 0.939, 0.763)
C (0.676, 0.212, 0.988)
C (0.176, 0.288, 0.988)
C (0.824, 0.712, 0.488)
C (0.324, 0.788, 0.488)

# 5
This record from Materials Project describes an optimized crystal structure of MgH8C3N2O6. The functional is r2SCAN.

Values from the calculation:
Formation energy from the elements: -931 meV per atom
Size of the total moment: 0.00 μB/f.u.

Cell: 7.863 13.738 7.379 Å, 90.00 90.00 90.00°
Fractional coordinates of all 80 atoms:
C (0.561, 0.215, 0.495)
C (0.939, 0.785, 0.995)
C (0.695, 0.498, 0.503)
C (0.979, 0.738, 0.504)
C (0.479, 0.762, 0.496)
C (0.061, 0.285, 0.505)
C (0.305, 0.998, 0.997)
C (0.195, 0.002, 0.497)
C (0.521, 0.262, 0.004)
C (0.805, 0.502, 0.003)
C (0.439, 0.715, 0.005)
C (0.021, 0.238, 0.996)
H (0.693, 0.962, 0.608)
H (0.560, 0.979, 0.788)
H (0.505, 0.785, 0.996)
H (0.193, 0.538, 0.392)
H (0.763, 0.897, 0.288)
H (0.077, 0.311, 0.971)
H (0.807, 0.038, 0.108)
H (0.827, 0.521, 0.475)
H (0.423, 0.689, 0.471)
H (0.005, 0.715, 0.004)
H (0.237, 0.397, 0.212)
H (0.593, 0.965, 0.284)
H (0.407, 0.465, 0.216)
H (0.673, 0.479, 0.975)
H (0.923, 0.811, 0.529)
H (0.327, 0.979, 0.525)
H (0.221, 0.604, 0.198)
H (0.093, 0.535, 0.716)
H (0.907, 0.035, 0.784)
H (0.279, 0.396, 0.698)
H (0.995, 0.215, 0.496)
H (0.173, 0.021, 0.025)
H (0.737, 0.103, 0.788)
H (0.721, 0.896, 0.802)
H (0.060, 0.521, 0.212)
H (0.940, 0.021, 0.288)
H (0.495, 0.285, 0.504)
H (0.779, 0.104, 0.302)
H (0.307, 0.462, 0.892)
H (0.440, 0.479, 0.712)
H (0.577, 0.189, 0.029)
H (0.263, 0.603, 0.712)
O (0.366, 0.927, 0.082)
O (0.303, 0.713, 0.097)
O (0.998, 0.357, 0.424)
O (0.904, 0.232, 0.112)
O (0.078, 0.167, 0.908)
O (0.422, 0.833, 0.408)
O (0.096, 0.732, 0.388)
O (0.385, 0.046, 0.878)
O (0.615, 0.546, 0.622)
O (0.866, 0.573, 0.918)
O (0.697, 0.213, 0.403)
O (0.134, 0.073, 0.582)
O (0.922, 0.667, 0.592)
O (0.596, 0.768, 0.612)
O (0.634, 0.427, 0.418)
O (0.115, 0.954, 0.378)
O (0.404, 0.268, 0.888)
O (0.498, 0.143, 0.576)
O (0.197, 0.287, 0.597)
O (0.002, 0.857, 0.076)
O (0.885, 0.454, 0.122)
O (0.502, 0.643, 0.924)
O (0.803, 0.787, 0.903)
O (0.578, 0.333, 0.092)
N (0.815, 0.036, 0.249)
N (0.286, 0.461, 0.166)
N (0.786, 0.039, 0.834)
N (0.714, 0.961, 0.334)
N (0.315, 0.464, 0.751)
N (0.214, 0.539, 0.666)
N (0.185, 0.536, 0.251)
N (0.685, 0.964, 0.749)
Mg (0.717, 0.664, 0.762)
Mg (0.283, 0.164, 0.738)
Mg (0.217, 0.836, 0.238)
Mg (0.783, 0.336, 0.262)

# 6
This record from Materials Project describes an optimized crystal structure of MgH6CO6. The functional is r2SCAN.

Values from the calculation:
Formation energy from the elements: -1450 meV per atom
Size of the total moment: 0.00 μB/f.u.

Cell: 5.361 7.584 14.177 Å, 56.32 90.00 90.00°
Fractional coordinates of all 56 atoms:
H (0.622, 0.193, 0.087)
H (0.420, 0.757, 0.333)
H (0.367, 0.015, 0.582)
H (0.333, 0.308, 0.599)
H (0.080, 0.757, 0.833)
H (0.122, 0.807, 0.413)
H (0.830, 0.975, 0.705)
H (0.878, 0.193, 0.587)
H (0.670, 0.975, 0.205)
H (0.915, 0.142, 0.787)
H (0.867, 0.985, 0.918)
H (0.580, 0.243, 0.667)
H (0.585, 0.142, 0.287)
H (0.167, 0.308, 0.099)
H (0.378, 0.807, 0.913)
H (0.633, 0.985, 0.418)
H (0.170, 0.025, 0.295)
H (0.330, 0.025, 0.795)
H (0.085, 0.858, 0.213)
H (0.133, 0.015, 0.082)
H (0.415, 0.858, 0.713)
H (0.920, 0.243, 0.167)
H (0.833, 0.692, 0.901)
H (0.667, 0.692, 0.401)
O (0.586, 0.694, 0.338)
O (0.925, 0.128, 0.859)
O (0.808, 0.545, 0.691)
O (0.086, 0.306, 0.162)
O (0.398, 0.676, 0.055)
O (0.602, 0.324, 0.945)
O (0.075, 0.872, 0.141)
O (0.692, 0.545, 0.191)
O (0.308, 0.455, 0.809)
O (0.102, 0.676, 0.555)
O (0.192, 0.455, 0.309)
O (0.154, 0.872, 0.331)
O (0.692, 0.721, 0.514)
O (0.846, 0.128, 0.669)
O (0.414, 0.306, 0.662)
O (0.192, 0.279, 0.986)
O (0.425, 0.872, 0.641)
O (0.575, 0.128, 0.359)
O (0.346, 0.872, 0.831)
O (0.654, 0.128, 0.169)
O (0.808, 0.721, 0.014)
O (0.308, 0.279, 0.486)
O (0.914, 0.694, 0.838)
O (0.898, 0.324, 0.445)
C (0.874, 0.648, 0.586)
C (0.626, 0.648, 0.086)
C (0.126, 0.352, 0.414)
C (0.374, 0.352, 0.914)
Mg (0.923, 0.405, 0.853)
Mg (0.423, 0.595, 0.647)
Mg (0.577, 0.405, 0.353)
Mg (0.077, 0.595, 0.147)

# 7
This record from Materials Project describes an optimized crystal structure of MgH10CO8. The functional is r2SCAN.

Values from the calculation:
Formation energy from the elements: -1336 meV per atom
Size of the total moment: 0.00 μB/f.u.

Cell: 7.563 7.172 12.402 Å, 77.60 90.00 90.00°
Fractional coordinates of all 80 atoms:
O (0.093, 0.074, 0.147)
O (0.034, 0.295, 0.407)
O (0.851, 0.314, 0.617)
O (0.755, 0.010, 0.546)
O (0.678, 0.194, 0.762)
O (0.486, 0.709, 0.567)
O (0.822, 0.194, 0.262)
O (0.014, 0.709, 0.067)
O (0.221, 0.490, 0.789)
O (0.149, 0.686, 0.383)
O (0.966, 0.705, 0.593)
O (0.178, 0.806, 0.738)
O (0.779, 0.510, 0.211)
O (0.230, 0.420, 0.592)
O (0.730, 0.580, 0.908)
O (0.322, 0.806, 0.238)
O (0.245, 0.990, 0.454)
O (0.593, 0.926, 0.353)
O (0.255, 0.990, 0.954)
O (0.534, 0.705, 0.093)
O (0.407, 0.074, 0.647)
O (0.466, 0.295, 0.907)
O (0.986, 0.291, 0.933)
O (0.721, 0.510, 0.711)
O (0.279, 0.490, 0.289)
O (0.270, 0.420, 0.092)
O (0.514, 0.291, 0.433)
O (0.745, 0.010, 0.046)
O (0.351, 0.686, 0.883)
O (0.907, 0.926, 0.853)
O (0.770, 0.580, 0.408)
O (0.649, 0.314, 0.117)
H (0.559, 0.256, 0.858)
H (0.825, 0.023, 0.811)
H (0.342, 0.094, 0.943)
H (0.892, 0.381, 0.938)
H (0.373, 0.363, 0.854)
H (0.873, 0.637, 0.646)
H (0.197, 0.884, 0.423)
H (0.658, 0.906, 0.057)
H (0.571, 0.639, 0.621)
H (0.708, 0.703, 0.399)
H (0.292, 0.297, 0.601)
H (0.929, 0.639, 0.121)
H (0.127, 0.363, 0.354)
H (0.284, 0.443, 0.168)
H (0.502, 0.098, 0.697)
H (0.842, 0.906, 0.557)
H (0.429, 0.361, 0.379)
H (0.441, 0.744, 0.142)
H (0.627, 0.637, 0.146)
H (0.716, 0.557, 0.832)
H (0.059, 0.744, 0.642)
H (0.697, 0.116, 0.077)
H (0.071, 0.361, 0.879)
H (0.303, 0.884, 0.923)
H (0.392, 0.619, 0.562)
H (0.158, 0.094, 0.443)
H (0.108, 0.619, 0.062)
H (0.803, 0.116, 0.577)
H (0.784, 0.557, 0.332)
H (0.675, 0.023, 0.311)
H (0.498, 0.902, 0.303)
H (0.998, 0.098, 0.197)
H (0.002, 0.902, 0.803)
H (0.792, 0.703, 0.899)
H (0.325, 0.977, 0.689)
H (0.216, 0.443, 0.668)
H (0.608, 0.381, 0.438)
H (0.175, 0.977, 0.189)
H (0.208, 0.297, 0.101)
H (0.941, 0.256, 0.358)
Mg (0.000, 0.000, 0.000)
Mg (0.500, 0.000, 0.500)
Mg (0.000, 0.500, 0.500)
Mg (0.500, 0.500, 0.000)
C (0.249, 0.662, 0.304)
C (0.751, 0.338, 0.696)
C (0.749, 0.338, 0.196)
C (0.251, 0.662, 0.804)